The following is a PBE-GGA calculation of a relaxed structure of RbC2O2, from Materials Project. Values from VASP.

Cell and atoms, written as Quantum ESPRESSO input:
```
&SYSTEM
  ibrav = 0, nat = 10, ntyp = 3
/
ATOMIC_SPECIES
O 16.00 O.upf
C 12.01 C.upf
Rb 85.47 Rb.upf
CELL_PARAMETERS angstrom
3.9440 -5.2263 -0.5243
5.4987 0.1703 3.5888
-2.1261 -2.0304 3.4677
ATOMIC_POSITIONS crystal
O 0.1228 0.6507 0.2784
O 0.3493 0.8772 0.7216
O 0.6507 0.1228 0.2784
O 0.8772 0.3493 0.7216
C 0.9448 0.1575 0.6020
C 0.8425 0.0552 0.3980
C 0.1575 0.9448 0.6020
C 0.0552 0.8425 0.3980
Rb 0.6580 0.6580 0.2015
Rb 0.3420 0.3420 0.7985
```

Symmetry ... C2/m (12)

The following is a PBE-GGA calculation of a relaxed structure of Rb4CO4, from Materials Project. Values from VASP.

Cell and atoms, written as Quantum ESPRESSO input:
```
&SYSTEM
  ibrav = 0, nat = 9, ntyp = 3
/
ATOMIC_SPECIES
Rb 85.47 Rb.upf
O 16.00 O.upf
C 12.01 C.upf
CELL_PARAMETERS angstrom
-2.7745 3.2240 5.2316
2.7745 -3.2240 5.2316
2.7745 3.2240 -5.2316
ATOMIC_POSITIONS crystal
Rb 0.1192 0.1786 0.5852
Rb 0.5935 0.5340 0.4148
Rb 0.8808 0.4660 0.0595
Rb 0.4065 0.8214 0.9405
O 0.7897 0.0662 0.0193
O 0.0469 0.7704 0.9807
O 0.9531 0.9338 0.7235
O 0.2103 0.2296 0.2765
C 0.0000 0.0000 0.0000
```

Polymorph energy (0 for the lowest one) ... 5 meV/atom
Symmetry ... I222 (23)

The following is a PBE-GGA calculation of a relaxed structure of Rb4CO4, from Materials Project. Values from VASP.

Cell and atoms, written as Quantum ESPRESSO input:
```
&SYSTEM
  ibrav = 0, nat = 9, ntyp = 3
/
ATOMIC_SPECIES
Rb 85.47 Rb.upf
O 16.00 O.upf
C 12.01 C.upf
CELL_PARAMETERS angstrom
4.1088 -4.0934 0.0000
4.1088 4.0934 0.0000
0.0306 0.0000 5.7998
ATOMIC_POSITIONS crystal
Rb 0.9402 0.9145 0.4787
Rb 0.4787 0.9402 0.9145
Rb 0.9145 0.4787 0.9402
Rb 0.4807 0.4807 0.4807
O 0.0616 0.0616 0.0616
O 0.3442 0.3545 0.0606
O 0.3545 0.0606 0.3442
O 0.0606 0.3442 0.3545
C 0.2054 0.2054 0.2054
```

Polymorph energy (0 for the lowest one) ... 69 meV/atom
Maximum piezoelectric response ... 1.3 C/m²
Symmetry ... R3 (146)

The following is a PBE-GGA calculation of a relaxed structure of Rb4C2O9, from Materials Project. Values from VASP.

Cell and atoms, written as Quantum ESPRESSO input:
```
&SYSTEM
  ibrav = 0, nat = 30, ntyp = 3
/
ATOMIC_SPECIES
O 16.00 O.upf
C 12.01 C.upf
Rb 85.47 Rb.upf
CELL_PARAMETERS angstrom
-1.1070 -5.2995 -7.8220
1.2043 -7.6647 5.5041
-6.2454 -4.7745 0.2358
ATOMIC_POSITIONS crystal
O 0.6115 0.2153 0.1369
O 0.2153 0.6115 0.6369
O 0.3885 0.7847 0.8631
O 0.5942 0.4058 0.7500
O 0.9725 0.6184 0.1898
O 0.9541 0.9299 0.5431
O 0.4058 0.5942 0.2500
O 0.7847 0.3885 0.3631
O 0.0275 0.3816 0.8102
O 0.9299 0.9541 0.0431
O 0.7839 0.5511 0.5111
O 0.2161 0.4489 0.4889
O 0.5511 0.7839 0.0111
O 0.3816 0.0275 0.3102
O 0.0459 0.0701 0.4569
O 0.0701 0.0459 0.9569
O 0.4489 0.2161 0.9889
O 0.6184 0.9725 0.6898
C 0.5164 0.8472 0.8504
C 0.4836 0.1528 0.1496
C 0.8472 0.5164 0.3504
C 0.1528 0.4836 0.6496
Rb 0.7456 0.5510 0.9098
Rb 0.1534 0.8466 0.7500
Rb 0.1901 0.8099 0.2500
Rb 0.5510 0.7456 0.4098
Rb 0.4490 0.2544 0.5902
Rb 0.8099 0.1901 0.7500
Rb 0.2544 0.4490 0.0902
Rb 0.8466 0.1534 0.2500
```

Symmetry ... C2/c (15)

Taking the records one at a time from the top gives calculated formation energy values of -1.3194 -1.5671 -1.5027 -1.3714 eV per atom.